This record from Materials Project describes VSO4F3 after structural relaxation. The functional is PBE with a Hubbard U.

Cell lengths 7.1848, 8.2070, 10.6423 Å; angles 90.00, 90.00, 90.00 degrees
Closest atoms and distances in Å follow each position.
Positions (direct):
1 F 0.4675 0.4412 0.6582  1 V 1.77
2 S 0.7500 0.3214 0.0000  4 O 1.43-1.59
3 F 0.0325 0.9412 0.1582  1 V 1.77
4 V 0.5000 0.0000 0.0000  4 F 1.77-1.95, 2 O 1.86
5 F 0.5325 0.5588 0.3418  1 V 1.77
6 V 0.0000 0.0000 0.0000  4 F 1.77-1.95, 2 O 1.86
7 O 0.6645 0.9056 0.3979  1 S 1.43
8 O 0.3961 0.3053 0.4442  1 S 1.59
9 F 0.4675 0.9412 0.8418  1 V 1.77
10 O 0.1039 0.8053 0.9442  1 S 1.59
11 F 0.0325 0.4412 0.3418  1 V 1.77
12 F 0.9675 0.5588 0.6582  1 V 1.77
13 O 0.8355 0.4056 0.8979  1 S 1.43
14 F 0.2500 0.0938 0.0000  2 V 1.95
15 S 0.2500 0.6786 0.0000  4 O 1.43-1.59
16 O 0.6039 0.6947 0.5558  1 S 1.59
17 S 0.2500 0.1786 0.5000  4 O 1.43-1.59
18 O 0.3355 0.5944 0.8979  1 S 1.43
19 O 0.1645 0.0944 0.3979  1 S 1.43
20 O 0.3961 0.8053 0.0558  1 S 1.59
21 F 0.7500 0.9062 0.0000  2 V 1.95
22 F 0.7500 0.4062 0.5000  2 V 1.95
23 F 0.9675 0.0588 0.8418  1 V 1.77
24 V 0.0000 0.5000 0.5000  4 F 1.77-1.95, 2 O 1.86
25 O 0.1039 0.3053 0.5558  1 S 1.59
26 O 0.6645 0.4056 0.1021  1 S 1.43
27 O 0.8961 0.6947 0.4442  1 S 1.59
28 O 0.1645 0.5944 0.1021  1 S 1.43
29 V 0.5000 0.5000 0.5000  4 F 1.77-1.95, 2 O 1.86
30 F 0.5325 0.0588 0.1582  1 V 1.77
31 O 0.8355 0.9056 0.6021  1 S 1.43
32 O 0.8961 0.1947 0.0558  1 S 1.59
33 F 0.2500 0.5938 0.5000  2 V 1.95
34 O 0.3355 0.0944 0.6021  1 S 1.43
35 S 0.7500 0.8214 0.5000  4 O 1.43-1.59
36 O 0.6039 0.1947 0.9442  1 S 1.59

Output
The calculated density is 2.16 Mg/m³. The calculated volume is 627.5 Å³ per cell. The energy of formation is -1879 kJ/mol of formula units.